# YbNdZn2

An optimized crystal structure of YbNdZn2 (r2SCAN, the Materials Project).

Cell lengths 5.0644, 5.0644, 5.0644 Å; angles 60.00, 60.00, 60.00 degrees
With the nearest neighbours (Å) after each atom.
Sites, in units of the cell vectors:
Yb  0.0000  0.0000  0.0000  8 Zn 3.10
Nd  0.5000  0.5000  0.5000  8 Zn 3.10
Zn  0.2500  0.2500  0.2500  4 Nd 3.10, 4 Yb 3.10
Zn  0.7500  0.7500  0.7500  4 Nd 3.10, 4 Yb 3.10

---

# NdZn5

An optimized crystal structure of NdZn5 (r2SCAN, the Materials Project).

Cell lengths 5.3385, 5.3385, 4.2017 Å; angles 90.00, 90.00, 120.00 degrees
With the nearest neighbours (Å) after each atom.
Sites, in units of the cell vectors:
Nd  0.0000  0.0000  0.0000  18 Zn 3.08-3.40
Zn  0.0000  0.5000  0.5000  8 Zn 2.61-2.67
Zn  0.3333  0.6667  0.0000  6 Zn 2.61
Zn  0.5000  0.0000  0.5000  8 Zn 2.61-2.67
Zn  0.5000  0.5000  0.5000  8 Zn 2.61-2.67
Zn  0.6667  0.3333  0.0000  6 Zn 2.61

---

# Nd2Zn17

An optimized crystal structure of Nd2Zn17 (r2SCAN, the Materials Project).

Cell lengths 6.7587, 6.7587, 6.7587 Å; angles 82.95, 82.95, 82.95 degrees
With the nearest neighbours (Å) after each atom.
Sites, in units of the cell vectors:
Nd  0.1636  0.1636  0.1636  19 Zn 3.10-3.42
Nd  0.8364  0.8364  0.8364  19 Zn 3.10-3.42
Zn  0.0000  0.5000  0.5000  10 Zn 2.56-2.73
Zn  0.1506  0.1506  0.6608  9 Zn 2.55-2.84
Zn  0.1506  0.6608  0.1506  9 Zn 2.55-2.84
Zn  0.2080  0.5000  0.7920  8 Zn 2.56-2.74
Zn  0.2080  0.7920  0.5000  8 Zn 2.56-2.74
Zn  0.3392  0.8494  0.8494  9 Zn 2.55-2.84
Zn  0.4012  0.4012  0.4012  7 Zn 2.58-2.84
Zn  0.5000  0.0000  0.5000  10 Zn 2.56-2.73
Zn  0.5000  0.2080  0.7920  8 Zn 2.56-2.74
Zn  0.5000  0.5000  0.0000  10 Zn 2.56-2.73
Zn  0.5000  0.7920  0.2080  8 Zn 2.56-2.74
Zn  0.5988  0.5988  0.5988  7 Zn 2.58-2.84
Zn  0.6608  0.1506  0.1506  9 Zn 2.55-2.84
Zn  0.7920  0.2080  0.5000  8 Zn 2.56-2.74
Zn  0.7920  0.5000  0.2080  8 Zn 2.56-2.74
Zn  0.8494  0.3392  0.8494  9 Zn 2.55-2.84
Zn  0.8494  0.8494  0.3392  9 Zn 2.55-2.84

---

# NdZn11

An optimized crystal structure of NdZn11 (r2SCAN, the Materials Project).

Cell lengths 8.1513, 8.1513, 6.7541 Å; angles 114.40, 114.40, 80.22 degrees
With the nearest neighbours (Å) after each atom.
Sites, in units of the cell vectors:
Nd  0.2504  0.2504  0.1255  18 Zn 3.23-3.38
Nd  0.7496  0.7496  0.8745  18 Zn 3.23-3.38
Zn  0.0000  0.0000  0.5000  10 Zn 2.57-2.76
Zn  0.0000  0.5000  0.5000  10 Zn 2.57-2.76
Zn  0.0775  0.6664  0.2998  9 Zn 2.56-2.86
Zn  0.0776  0.8335  0.7779  9 Zn 2.56-2.86
Zn  0.1665  0.9224  0.2221  9 Zn 2.56-2.86
Zn  0.1668  0.5779  0.9446  9 Zn 2.56-2.85
Zn  0.2504  0.2504  0.6255  12 Zn 2.75-2.85
Zn  0.3335  0.5771  0.6332  9 Zn 2.56-2.86
Zn  0.3336  0.9225  0.7002  9 Zn 2.56-2.86
Zn  0.4221  0.8332  0.0554  9 Zn 2.56-2.85
Zn  0.4229  0.6665  0.3668  9 Zn 2.56-2.86
Zn  0.5000  0.0000  0.5000  10 Zn 2.57-2.76
Zn  0.5000  0.5000  0.0000  10 Zn 2.57-2.75
Zn  0.5771  0.3335  0.6332  9 Zn 2.56-2.86
Zn  0.5779  0.1668  0.9446  9 Zn 2.56-2.85
Zn  0.6664  0.0775  0.2998  9 Zn 2.56-2.86
Zn  0.6665  0.4229  0.3668  9 Zn 2.56-2.86
Zn  0.7496  0.7496  0.3745  12 Zn 2.75-2.85
Zn  0.8332  0.4221  0.0554  9 Zn 2.56-2.85
Zn  0.8335  0.0776  0.7779  9 Zn 2.56-2.86
Zn  0.9224  0.1665  0.2221  9 Zn 2.56-2.86
Zn  0.9225  0.3336  0.7002  9 Zn 2.56-2.86

---

Number 1: theoretical density 8.1 g/cm³, E_form -0.36 eV/atom, DFT total energy -85.2 eV/cell. Number 2: theoretical density 7.5 g/cm³, E_form -0.34 eV/atom, DFT total energy -76.0 eV/cell. Number 3: theoretical density 7.7 g/cm³, E_form -0.29 eV/atom, DFT total energy -215.9 eV/cell. Number 4: theoretical density 7.7 g/cm³, E_form -0.25 eV/atom, DFT total energy -260.9 eV/cell.